1.
This record from the Materials Project database describes a relaxed SnPb3 crystal. The functional is r²SCAN.

Cell and atoms, written as extended XYZ:
```
8
Lattice="6.872 0.000 0.000 -3.436 5.951 0.000 0.000 0.000 5.961" Properties=species:S:1:pos:R:3 pbc="T T T"
Sn 0.000 3.967 1.490
Sn 3.436 1.984 4.471
Pb 0.000 2.007 4.471
Pb -1.698 4.948 4.471
Pb 1.738 1.003 1.490
Pb 1.698 4.948 4.471
Pb 5.134 1.003 1.490
Pb 3.436 3.944 1.490
```

## Properties
- Magnetization: 0.000 μB per atom
- Space group: P6_3/mmc



2.
This record from the Materials Project database describes a relaxed Li8TiO6 crystal. The functional is r²SCAN.

Cell and atoms, written as extended XYZ:
```
30
Lattice="5.515 0.000 0.000 -2.757 4.776 0.000 0.000 0.000 10.674" Properties=species:S:1:pos:R:3 pbc="T T T"
Li -0.865 1.499 0.000
Li -1.106 1.915 3.848
Li -1.652 2.861 9.185
Li -1.892 3.277 5.337
Li 1.731 0.000 0.000
Li 0.865 1.499 5.337
Li 0.000 3.184 1.470
Li 0.000 3.184 6.807
Li 2.211 0.000 3.848
Li 1.106 1.915 9.185
Li 3.303 0.000 9.185
Li 1.652 2.861 3.848
Li 2.757 1.592 1.470
Li 2.757 1.592 6.807
Li 3.784 0.000 5.337
Li 1.892 3.277 0.000
Ti 0.000 0.000 2.443
Ti 0.000 0.000 7.780
O 0.000 0.000 4.293
O 0.000 0.000 9.630
O -0.870 1.508 1.937
O -1.887 3.268 7.274
O 1.741 0.000 1.937
O 0.870 1.508 7.274
O 0.000 3.184 4.782
O 0.000 3.184 10.120
O 2.757 1.592 4.782
O 2.757 1.592 10.120
O 3.774 0.000 7.274
O 1.887 3.268 1.937
```

## Properties
- Magnetization: 0.000 μB per atom
- Space group: P6_3cm



3.
This record from the Materials Project database describes a relaxed Sm3Ag4Ge4 crystal. The functional is r²SCAN.

Cell and atoms, written as extended XYZ:
```
11
Lattice="-2.194 3.553 7.319 2.194 -3.553 7.319 2.194 3.553 -7.319" Properties=species:S:1:pos:R:3 pbc="T T T"
Sm 0.000 0.000 0.000
Sm 2.194 0.000 5.445
Sm 0.000 3.553 1.873
Ag 2.194 1.390 -2.467
Ag 2.194 1.390 2.467
Ag 0.000 2.163 4.852
Ag 0.000 2.163 9.786
Ge 0.000 0.000 3.172
Ge 2.194 2.263 0.000
Ge 0.000 1.290 7.319
Ge 0.000 0.000 11.465
```

## Properties
- Magnetization: 0.000 μB per atom
- Space group: Immm



4.
This record from the Materials Project database describes a relaxed NdTe2Se crystal. The functional is r²SCAN.

Cell and atoms, written as extended XYZ:
```
8
Lattice="2.152 -12.965 0.000 2.152 12.965 0.000 0.000 0.000 4.300" Properties=species:S:1:pos:R:3 pbc="T T T"
Nd 2.152 8.326 3.225
Nd 2.152 -8.326 1.075
Te 2.152 10.983 1.075
Te 2.152 1.988 1.075
Te 2.152 -1.988 3.225
Te 2.152 -10.983 3.225
Se 2.152 5.334 3.225
Se 2.152 -5.334 1.075
```

## Properties
- Magnetization: 0.000 μB per atom
- Space group: Cmcm



5.
This record from the Materials Project database describes a relaxed K2NaCa2TiSi7HO20 crystal. The functional is r²SCAN.

Cell and atoms, written as extended XYZ:
```
68
Lattice="7.066 0.000 0.000 -1.653 10.273 0.000 -0.124 -0.590 12.155" Properties=species:S:1:pos:R:3 pbc="T T T"
K 0.987 3.405 1.173
K 0.938 5.283 7.914
K 4.352 4.400 4.241
K 4.302 6.278 10.982
Na 2.597 -0.300 10.836
Na 2.692 9.983 1.319
Ca -0.879 8.798 4.947
Ca 2.618 0.936 7.046
Ca 2.672 8.747 5.109
Ca 6.169 0.885 7.209
Ti -0.917 10.068 1.216
Ti 6.206 -0.385 10.939
Si -0.599 2.766 9.946
Si -0.633 8.520 8.411
Si 0.815 3.003 5.051
Si 0.839 5.990 4.272
Si 0.789 7.432 0.109
Si 2.747 1.149 3.631
Si 2.440 2.703 9.887
Si 2.849 6.980 2.268
Si 2.543 8.534 8.524
Si 4.501 2.251 12.046
Si 4.450 3.693 7.883
Si 4.475 6.680 7.105
Si 5.922 1.163 3.745
Si 5.889 6.917 2.209
H 0.797 7.119 10.055
H 4.492 2.564 2.101
O -1.253 7.051 7.978
O -1.262 8.970 9.810
O -0.987 8.454 2.602
O -0.530 5.939 3.364
O -0.440 6.576 0.787
O 0.551 0.437 11.979
O -0.776 9.570 7.212
O 0.834 2.330 6.486
O 0.929 3.286 10.094
O 0.846 4.631 5.178
O 0.705 6.388 10.699
O 0.597 9.007 0.328
O 0.887 7.266 5.212
O 2.210 0.749 2.179
O 0.945 8.156 8.724
O 2.104 2.602 4.109
O 2.572 0.078 4.811
O 2.523 1.268 9.258
O 2.102 5.845 3.223
O 2.183 6.874 0.768
O 3.106 2.809 11.388
O 3.188 3.838 8.933
O 2.766 8.415 2.897
O 2.717 9.605 7.344
O 3.186 7.081 8.047
O 4.345 1.527 3.432
O 3.079 8.934 9.976
O 4.402 2.417 6.944
O 4.692 0.676 11.827
O 4.585 3.295 1.457
O 4.443 5.052 6.978
O 4.360 6.397 2.062
O 4.456 7.353 5.669
O 6.065 0.113 4.943
O 4.738 9.246 0.177
O 5.729 3.107 11.369
O 5.819 3.744 8.792
O 6.276 1.229 9.553
O 6.551 0.713 2.345
O 6.543 2.632 4.177
```

## Properties
- Magnetization: 0.000 μB per atom
- Space group: P-1



6.
This record from the Materials Project database describes a relaxed SrSbPt crystal. The functional is r²SCAN.

Cell and atoms, written as extended XYZ:
```
3
Lattice="4.507 0.000 0.000 -2.254 3.903 0.000 0.000 0.000 4.640" Properties=species:S:1:pos:R:3 pbc="T T T"
Sr 0.000 0.000 0.000
Sb 2.254 1.301 2.320
Pt 0.000 2.602 2.320
```

## Properties
- Magnetization: 0.000 μB per atom
- Space group: P-6m2



7.
This record from the Materials Project database describes a relaxed CoP3 crystal. The functional is r²SCAN.

Cell and atoms, written as extended XYZ:
```
16
Lattice="-3.842 3.842 3.842 3.842 -3.842 3.842 3.842 3.842 -3.842" Properties=species:S:1:pos:R:3 pbc="T T T"
Co 1.921 1.921 -1.921
Co 1.921 -1.921 1.921
Co -1.921 1.921 1.921
Co 1.921 1.921 1.921
P 2.674 1.116 0.000
P 5.009 1.116 0.000
P 3.842 -1.168 2.726
P 2.726 3.842 -1.168
P 1.116 0.000 2.674
P 0.000 2.674 1.116
P 3.842 1.168 2.726
P 2.726 3.842 1.168
P 1.116 0.000 5.009
P 0.000 5.009 1.116
P -1.168 2.726 3.842
P 1.168 2.726 3.842
```

## Properties
- Magnetization: 0.000 μB per atom
- Space group: Im-3



8.
This record from the Materials Project database describes a relaxed CaAg3 crystal. The functional is r²SCAN.

Cell and atoms, written as extended XYZ:
```
4
Lattice="-2.219 2.219 4.132 2.219 -2.219 4.132 2.219 2.219 -4.132" Properties=species:S:1:pos:R:3 pbc="T T T"
Ca 0.000 0.000 0.000
Ag 2.219 0.000 2.066
Ag 0.000 0.000 4.132
Ag 0.000 2.219 2.066
```

## Properties
- Magnetization: 0.000 μB per atom
- Space group: I4/mmm



no.,DFT formation energy (eV/f.u.)
1,0.357
2,-35.567
3,-6.685
4,-5.250
5,-100.930
6,-3.240
7,-1.981
8,-0.656